This record from Materials Project describes an optimized crystal structure of Li9Mn2Co5O16. The functional is GGA+U.

```
Li9Mn2Co5O16
1.0
1.453 10.481 0.000
-1.453 10.481 0.000
0.000 4.001 9.305
Li O Mn Co
9 16 2 5
Direct
0.622 0.622 0.060
0.126 0.126 0.313
0.375 0.375 0.437
0.878 0.878 0.179
0.874 0.874 0.687
0.625 0.625 0.563
0.122 0.122 0.821
0.378 0.378 0.940
0.500 0.500 0.000
0.308 0.308 0.656
0.556 0.556 0.774
0.808 0.808 0.406
0.059 0.059 0.053
0.053 0.053 0.536
0.692 0.692 0.344
0.807 0.807 0.905
0.192 0.192 0.594
0.947 0.947 0.464
0.444 0.444 0.226
0.691 0.691 0.843
0.309 0.309 0.157
0.941 0.941 0.947
0.446 0.446 0.708
0.554 0.554 0.292
0.193 0.193 0.095
0.001 0.001 0.244
0.999 0.999 0.756
0.751 0.751 0.125
0.249 0.249 0.875
0.500 0.500 0.500
0.750 0.750 0.625
0.250 0.250 0.375
```

Electronic total energy, eV per atom: -5.85
Space-group type: C2/m (12)
Total magnetic moment, μB/cell: 6.00
ΔH_f (0 K), meV per atom: -1856
Crystal system: monoclinic



This record from Materials Project describes an optimized crystal structure of MgV3CoSn2P6O24. The functional is GGA+U.

```
MgV3CoSn2P6O24
1.0
-4.004 0.054 8.300
-7.432 4.317 0.550
-7.269 -4.487 1.100
O P Co V Sn Mg
24 6 1 3 2 1
Direct
0.079 0.110 0.295
0.593 0.003 0.761
0.405 0.260 0.353
0.299 0.066 0.679
0.767 0.220 0.585
0.079 0.278 0.522
0.740 0.908 0.309
0.729 0.292 0.039
0.917 0.503 0.882
0.924 0.689 0.516
0.590 0.755 0.635
0.587 0.624 0.030
0.781 0.563 0.430
0.293 0.954 0.068
0.397 0.994 0.269
0.218 0.416 0.600
0.769 0.409 0.233
0.101 0.489 0.128
0.412 0.395 0.910
0.192 0.625 0.774
0.919 0.883 0.700
0.223 0.770 0.415
0.726 0.050 0.931
0.278 0.711 0.947
0.748 0.466 0.040
0.767 0.723 0.476
0.246 0.550 0.950
0.248 0.958 0.262
0.244 0.263 0.538
0.753 0.030 0.746
0.520 0.213 0.092
0.959 0.335 0.353
0.443 0.841 0.876
0.062 0.650 0.652
0.930 0.031 0.017
0.549 0.452 0.500
0.471 0.975 0.461
```

Electronic total energy, eV per atom: -7.17
Space-group type: P1 (1)
Total magnetic moment, μB/cell: 7.92
ΔH_f (0 K), meV per atom: -2521
Crystal system: triclinic



This record from Materials Project describes an optimized crystal structure of LiFeBO3. The functional is GGA+U.

```
LiFeBO3
1.0
-2.275 -2.499 3.892
5.947 -0.469 0.054
2.509 4.497 0.956
O Fe Li B
6 2 2 2
Direct
0.271 0.311 0.319
0.510 0.177 0.128
0.972 0.705 0.202
0.490 0.823 0.872
0.730 0.690 0.680
0.029 0.296 0.798
0.582 0.235 0.745
0.416 0.763 0.256
0.931 0.321 0.378
0.069 0.679 0.622
0.735 0.742 0.919
0.266 0.259 0.080
```

Electronic total energy, eV per atom: -6.93
Space-group type: P1 (1)
Total magnetic moment, μB/cell: 0.00
ΔH_f (0 K), meV per atom: -2329
Crystal system: triclinic



This record from Materials Project describes an optimized crystal structure of LiMnO7. The functional is GGA+U.

```
LiMnO7
1.0
3.807 -6.594 0.000
3.807 6.594 0.000
0.000 0.000 5.471
O Mn Li
14 2 2
Direct
0.449 0.898 0.159
0.667 0.333 0.053
0.209 0.104 0.241
0.449 0.551 0.159
0.551 0.449 0.659
0.104 0.209 0.741
0.896 0.104 0.241
0.791 0.896 0.741
0.102 0.551 0.159
0.896 0.791 0.241
0.551 0.102 0.659
0.898 0.449 0.659
0.333 0.667 0.553
0.104 0.896 0.741
0.667 0.333 0.757
0.333 0.667 0.257
0.000 0.000 0.490
0.000 0.000 0.990
```

Electronic total energy, eV per atom: -4.58
Space-group type: P6_3mc (186)
Total magnetic moment, μB/cell: 12.01
ΔH_f (0 K), meV per atom: -216
Crystal system: hexagonal